[1]
Computed, not measured: a relaxed structure of Zn3Ir at the GGA-PBE level of DFT.

Calculated formation energy = -0.2303 eV per atom

Unit cell a=3.727 b=3.727 c=8.156 alpha=90.00 beta=90.00 gamma=90.00
Space group I4/mmm (No. 139)
One atom of each set of equivalent atoms:
Zn 0.000 0.000 0.000 (multiplicity 2)
Zn 0.000 0.500 0.250 (multiplicity 4)
Ir 0.000 0.000 0.500 (multiplicity 2)

---

[2]
Computed, not measured: a relaxed structure of TlZn2Sb2 at the GGA-PBE level of DFT.

Size of the total moment = 0.01 μB per cell
Calculated formation energy = -0.0830 eV per atom
E (MP2020) = -54.22 eV for the cell shown

Unit cell a=8.524 b=8.524 c=7.489 alpha=90.00 beta=90.00 gamma=90.00
Space group I4cm (No. 108)
One atom of each set of equivalent atoms:
Tl 0.000 0.000 0.000 (multiplicity 4)
Zn 0.141 0.359 0.118 (multiplicity 8)
Sb 0.154 0.346 0.762 (multiplicity 8)

---

[3]
Computed, not measured: a relaxed structure of KBa2As5 at the GGA-PBE level of DFT.

Size of the total moment = 0.00 μB per cell
Calculated formation energy = -0.7009 eV per atom

Unit cell a=10.685 b=23.752 c=11.680 alpha=90.00 beta=90.34 gamma=90.00
Space group Cm (No. 8)
One atom of each set of equivalent atoms:
K 0.000 0.000 0.000 (multiplicity 2)
K 0.009 0.336 0.999 (multiplicity 4)
K 0.115 0.500 0.122 (multiplicity 2)
K 0.190 0.166 0.499 (multiplicity 4)
Ba 0.081 0.331 0.624 (multiplicity 4)
Ba 0.087 0.000 0.627 (multiplicity 2)
Ba 0.114 0.167 0.116 (multiplicity 4)
Ba 0.184 0.500 0.495 (multiplicity 2)
Ba 0.244 0.334 0.302 (multiplicity 4)
Ba 0.248 0.000 0.306 (multiplicity 2)
Ba 0.452 0.332 0.804 (multiplicity 4)
Ba 0.455 0.000 0.816 (multiplicity 2)
As 0.196 0.084 0.863 (multiplicity 4)
As 0.201 0.248 0.864 (multiplicity 4)
As 0.204 0.415 0.853 (multiplicity 4)
As 0.300 0.165 0.773 (multiplicity 4)
As 0.303 0.500 0.771 (multiplicity 2)
As 0.307 0.054 0.043 (multiplicity 4)
As 0.313 0.386 0.039 (multiplicity 4)
As 0.316 0.279 0.043 (multiplicity 4)
As 0.380 0.280 0.543 (multiplicity 4)
As 0.382 0.389 0.547 (multiplicity 4)
As 0.387 0.055 0.552 (multiplicity 4)
As 0.393 0.169 0.273 (multiplicity 4)
As 0.394 0.500 0.276 (multiplicity 2)
As 0.491 0.087 0.368 (multiplicity 4)
As 0.495 0.250 0.365 (multiplicity 4)
As 0.496 0.418 0.367 (multiplicity 4)

---

[4]
Computed, not measured: a relaxed structure of KH6F12 at the GGA-PBE level of DFT.

Size of the total moment = 4.00 μB per cell
Calculated formation energy = -1.4269 eV per atom
E (MP2020) = -286.21 eV for the cell shown

Unit cell a=9.707 b=17.976 c=11.632 alpha=90.00 beta=93.63 gamma=90.00
Space group C2/c (No. 15)
One atom of each set of equivalent atoms:
K 0.250 0.250 0.000 (multiplicity 4)
H 0.092 0.211 0.507 (multiplicity 8)
H 0.121 0.376 0.765 (multiplicity 8)
H 0.195 0.160 0.759 (multiplicity 8)
F 0.016 0.243 0.492 (multiplicity 8)
F 0.118 0.376 0.684 (multiplicity 8)
F 0.138 0.081 0.003 (multiplicity 8)
F 0.193 0.100 0.737 (multiplicity 8)
F 0.206 0.223 0.783 (multiplicity 8)
F 0.215 0.423 0.991 (multiplicity 8)

---

[5]
Computed, not measured: a relaxed structure of MoW11 at the GGA-PBE level of DFT.

Size of the total moment = 0.00 μB per cell
Calculated formation energy = 1.7116 eV per atom

Unit cell a=2.596 b=5.319 c=18.356 alpha=90.00 beta=90.00 gamma=90.00
Space group Pmmm (No. 47)
One atom of each set of equivalent atoms:
Mo 0.000 0.000 0.000 (multiplicity 1)
W 0.000 0.000 0.500 (multiplicity 1)
W 0.000 0.250 0.125 (multiplicity 4)
W 0.000 0.250 0.375 (multiplicity 4)
W 0.000 0.500 0.249 (multiplicity 2)

---

[6]
Computed, not measured: a relaxed structure of Ba2YBr7 at the GGA-PBE level of DFT.

Size of the total moment = 0.00 μB per cell
Calculated formation energy = -2.4398 eV per atom
E (MP2020) = -184.64 eV for the cell shown
ΔE to the lowest computed polymorph = 14 meV/atom

Unit cell a=7.595 b=14.432 c=13.278 alpha=90.00 beta=96.83 gamma=90.00
Space group P2_1 (No. 4)
One atom of each set of equivalent atoms:
Ba 0.202 0.000 0.267 (multiplicity 2)
Ba 0.235 0.767 0.875 (multiplicity 2)
Ba 0.247 0.417 0.375 (multiplicity 2)
Ba 0.269 0.175 0.756 (multiplicity 2)
Y 0.295 0.707 0.456 (multiplicity 2)
Y 0.313 0.476 0.953 (multiplicity 2)
Br 0.018 0.586 0.970 (multiplicity 2)
Br 0.021 0.836 0.403 (multiplicity 2)
Br 0.035 0.582 0.489 (multiplicity 2)
Br 0.070 0.333 0.893 (multiplicity 2)
Br 0.116 0.967 0.773 (multiplicity 2)
Br 0.123 0.218 0.276 (multiplicity 2)
Br 0.272 0.641 0.255 (multiplicity 2)
Br 0.291 0.546 0.756 (multiplicity 2)
Br 0.384 0.782 0.644 (multiplicity 2)
Br 0.393 0.402 0.144 (multiplicity 2)
Br 0.410 0.864 0.106 (multiplicity 2)
Br 0.441 0.068 0.516 (multiplicity 2)
Br 0.458 0.128 0.998 (multiplicity 2)
Br 0.462 0.337 0.610 (multiplicity 2)

---

[7]
Computed, not measured: a relaxed structure of KTaS5 at the GGA-PBE level of DFT.

Calculated formation energy = -1.1704 eV per atom
E (MP2020) = -334.74 eV for the cell shown

Unit cell a=15.593 b=6.497 c=15.933 alpha=90.00 beta=120.34 gamma=90.00
Space group P2_1/c (No. 14)
One atom of each set of equivalent atoms:
K 0.150 0.146 0.086 (multiplicity 4)
K 0.348 0.642 0.933 (multiplicity 4)
Ta 0.035 0.054 0.744 (multiplicity 4)
Ta 0.466 0.582 0.709 (multiplicity 4)
S 0.042 0.664 0.376 (multiplicity 4)
S 0.052 0.607 0.109 (multiplicity 4)
S 0.108 0.718 0.735 (multiplicity 4)
S 0.123 0.174 0.372 (multiplicity 4)
S 0.202 0.203 0.809 (multiplicity 4)
S 0.299 0.737 0.608 (multiplicity 4)
S 0.376 0.647 0.249 (multiplicity 4)
S 0.391 0.247 0.629 (multiplicity 4)
S 0.449 0.083 0.059 (multiplicity 4)
S 0.459 0.134 0.335 (multiplicity 4)

---

[8]
Computed, not measured: a relaxed structure of ZrUNb at the GGA-PBE level of DFT.

Size of the total moment = 0.20 μB per cell
Calculated formation energy = 0.1600 eV per atom

Unit cell a=3.231 b=5.153 c=14.819 alpha=90.00 beta=90.00 gamma=90.00
Space group Fmm2 (No. 42)
One atom of each set of equivalent atoms:
Zr 0.000 0.000 0.000 (multiplicity 4)
U 0.000 0.000 0.676 (multiplicity 4)
Nb 0.000 0.000 0.329 (multiplicity 4)